(1)
The following is a PBE with a Hubbard U calculation of a geometry-optimized MoH2O4 structure, from the Materials Project.

Cell and atoms, written as CIF:
```
data_MoH2O4
_space_group_name_H-M_alt 'P 1'
_space_group_IT_number 1
_space_group_name_Hall 'P 1'
_cell_length_a 3.773
_cell_length_b 6.749
_cell_length_c 7.645
_cell_angle_alpha 64.44
_cell_angle_beta 77.91
_cell_angle_gamma 75.72
loop_
_atom_site_label
_atom_site_type_symbol
_atom_site_fract_x
_atom_site_fract_y
_atom_site_fract_z
Mo1 Mo 0.000 0.000 0.000
Mo2 Mo 0.471 0.677 0.407
H1 H 0.005 0.528 0.083
H2 H 0.235 0.059 0.529
H3 H 0.238 0.619 0.877
H4 H 0.493 0.142 0.330
O1 O 0.075 0.098 0.747
O2 O 0.151 0.644 0.999
O3 O 0.327 0.035 0.407
O4 O 0.393 0.581 0.660
O5 O 0.505 0.911 0.077
O6 O 0.610 0.435 0.367
O7 O 0.863 0.241 0.043
O8 O 0.965 0.766 0.331
```

## Properties
Calculated density in g/cm³: 3.18
Formation enthalpy at 0 K in meV per atom: -1617
Maximum piezoelectric response in C/m²: 0.050
Magnetic moment in μB/cell: 0.0

(2)
The following is a PBE with a Hubbard U calculation of a geometry-optimized MoH2O4 structure, from the Materials Project.

Cell and atoms, written as CIF:
```
data_MoH2O4
_space_group_name_H-M_alt 'P 1'
_space_group_IT_number 1
_space_group_name_Hall 'P 1'
_cell_length_a 3.768
_cell_length_b 6.516
_cell_length_c 7.743
_cell_angle_alpha 65.42
_cell_angle_beta 88.09
_cell_angle_gamma 73.46
loop_
_atom_site_label
_atom_site_type_symbol
_atom_site_fract_x
_atom_site_fract_y
_atom_site_fract_z
Mo1 Mo 0.000 0.000 0.000
Mo2 Mo 0.463 0.131 0.588
H1 H 0.200 0.640 0.463
H2 H 0.220 0.555 0.105
H3 H 0.261 0.551 0.686
H4 H 0.769 0.488 0.912
O1 O 0.058 0.867 0.244
O2 O 0.143 0.697 0.983
O3 O 0.288 0.498 0.585
O4 O 0.396 0.290 0.343
O5 O 0.486 0.035 0.919
O6 O 0.606 0.840 0.618
O7 O 0.841 0.315 0.973
O8 O 0.956 0.136 0.668
```

## Properties
Calculated density in g/cm³: 3.26
Formation enthalpy at 0 K in meV per atom: -1562
Magnetic moment in μB/cell: 0.0

(3)
The following is a PBE with a Hubbard U calculation of a geometry-optimized MoHO3 structure, from the Materials Project.

Cell and atoms, written as CIF:
```
data_MoHO3
_space_group_name_H-M_alt 'C 1 2 1'
_space_group_IT_number 5
_space_group_name_Hall 'C 2y'
_cell_length_a 14.983
_cell_length_b 3.966
_cell_length_c 3.956
_cell_angle_alpha 90.00
_cell_angle_beta 91.29
_cell_angle_gamma 90.00
loop_
_atom_site_label
_atom_site_type_symbol
_atom_site_fract_x
_atom_site_fract_y
_atom_site_fract_z
Mo1 Mo 0.086 0.000 0.260
H1 H 0.244 0.890 0.470
O1 O 0.057 0.062 0.751
O2 O 0.087 0.554 0.235
O3 O 0.215 0.069 0.322
```

## Properties
Calculated density in g/cm³: 4.10
Formation enthalpy at 0 K in meV per atom: -1671
Magnetic moment in μB/cell: 4.0

(4)
The following is a PBE with a Hubbard U calculation of a geometry-optimized Mo2H2O7 structure, from the Materials Project.

Cell and atoms, written as CIF:
```
data_Mo2H2O7
_space_group_name_H-M_alt 'P 1 21 1'
_space_group_IT_number 4
_space_group_name_Hall 'P 2yb'
_cell_length_a 7.402
_cell_length_b 3.808
_cell_length_c 9.468
_cell_angle_alpha 90.00
_cell_angle_beta 104.39
_cell_angle_gamma 90.00
loop_
_atom_site_label
_atom_site_type_symbol
_atom_site_fract_x
_atom_site_fract_y
_atom_site_fract_z
Mo1 Mo 0.167 0.000 0.440
Mo2 Mo 0.184 0.534 0.975
H1 H 0.312 0.233 0.718
H2 H 0.401 0.141 0.296
O1 O 0.024 0.051 0.261
O2 O 0.100 0.034 0.967
O3 O 0.110 0.530 0.470
O4 O 0.286 0.047 0.644
O5 O 0.313 0.525 0.154
O6 O 0.355 0.508 0.880
O7 O 0.395 0.038 0.391
```

## Properties
Calculated density in g/cm³: 3.93
Formation enthalpy at 0 K in meV per atom: -1620
Magnetic moment in μB/cell: 0.0

(5)
The following is a PBE with a Hubbard U calculation of a geometry-optimized MoH2O4 structure, from the Materials Project.

Cell and atoms, written as CIF:
```
data_MoH2O4
_space_group_name_H-M_alt 'P 1'
_space_group_IT_number 1
_space_group_name_Hall 'P 1'
_cell_length_a 3.764
_cell_length_b 6.426
_cell_length_c 7.707
_cell_angle_alpha 67.62
_cell_angle_beta 80.11
_cell_angle_gamma 75.40
loop_
_atom_site_label
_atom_site_type_symbol
_atom_site_fract_x
_atom_site_fract_y
_atom_site_fract_z
Mo1 Mo 0.000 0.000 0.000
Mo2 Mo 0.479 0.716 0.411
H1 H 0.005 0.515 0.039
H2 H 0.246 0.058 0.525
H3 H 0.272 0.625 0.867
H4 H 0.670 0.310 0.322
O1 O 0.062 0.096 0.757
O2 O 0.152 0.636 0.989
O3 O 0.348 0.029 0.407
O4 O 0.433 0.600 0.652
O5 O 0.511 0.913 0.073
O6 O 0.622 0.435 0.371
O7 O 0.872 0.255 0.047
O8 O 0.986 0.767 0.326
```

## Properties
Calculated density in g/cm³: 3.24
Formation enthalpy at 0 K in meV per atom: -1570
Magnetic moment in μB/cell: 0.0

(6)
The following is a PBE with a Hubbard U calculation of a geometry-optimized Mo2H2O7 structure, from the Materials Project.

Cell and atoms, written as CIF:
```
data_Mo2H2O7
_space_group_name_H-M_alt 'P 1 21/m 1'
_space_group_IT_number 11
_space_group_name_Hall '-P 2yb'
_cell_length_a 7.520
_cell_length_b 3.780
_cell_length_c 9.636
_cell_angle_alpha 90.00
_cell_angle_beta 105.17
_cell_angle_gamma 90.00
loop_
_atom_site_label
_atom_site_type_symbol
_atom_site_fract_x
_atom_site_fract_y
_atom_site_fract_z
Mo1 Mo 0.160 0.250 0.441
Mo2 Mo 0.183 0.750 0.973
H1 H 0.331 0.250 0.742
H2 H 0.386 0.250 0.292
O1 O 0.027 0.250 0.259
O2 O 0.097 0.750 0.467
O3 O 0.100 0.250 0.964
O4 O 0.294 0.250 0.637
O5 O 0.316 0.750 0.149
O6 O 0.351 0.750 0.879
O7 O 0.385 0.250 0.394
```

## Properties
Calculated density in g/cm³: 3.84
Formation enthalpy at 0 K in meV per atom: -1608
Magnetic moment in μB/cell: 0.0

(7)
The following is a PBE with a Hubbard U calculation of a geometry-optimized Mo12PH13O40 structure, from the Materials Project.

Cell and atoms, written as CIF:
```
data_Mo12PH13O40
_space_group_name_H-M_alt 'P -1'
_space_group_IT_number 2
_space_group_name_Hall '-P 1'
_cell_length_a 13.977
_cell_length_b 14.548
_cell_length_c 14.572
_cell_angle_alpha 60.71
_cell_angle_beta 67.97
_cell_angle_gamma 70.41
loop_
_atom_site_label
_atom_site_type_symbol
_atom_site_fract_x
_atom_site_fract_y
_atom_site_fract_z
Mo1 Mo 0.002 0.199 0.495
Mo2 Mo 0.017 0.999 0.778
Mo3 Mo 0.024 0.288 0.687
Mo4 Mo 0.181 0.717 0.083
Mo5 Mo 0.201 0.000 0.003
Mo6 Mo 0.204 0.519 0.340
Mo7 Mo 0.211 0.070 0.196
Mo8 Mo 0.216 0.595 0.547
Mo9 Mo 0.236 0.856 0.475
Mo10 Mo 0.438 0.779 0.048
Mo11 Mo 0.450 0.594 0.311
Mo12 Mo 0.458 0.860 0.227
P1 P 0.213 0.792 0.273
H1 H 0.040 0.680 0.843
H2 H 0.052 0.454 0.178
H3 H 0.059 0.359 0.933
H4 H 0.261 0.618 0.800
H5 H 0.262 0.313 0.892
H6 H 0.271 0.427 0.040
H7 H 0.287 0.099 0.585
H8 H 0.362 0.151 0.329
H9 H 0.376 0.926 0.745
H10 H 0.380 0.312 0.553
H11 H 0.416 0.711 0.770
H12 H 0.441 0.454 0.101
H13 H 0.481 0.220 0.432
O1 O 0.023 0.072 0.623
O2 O 0.027 0.272 0.564
O3 O 0.036 0.719 0.163
O4 O 0.037 0.130 0.760
O5 O 0.050 0.566 0.362
O6 O 0.051 0.043 0.069
O7 O 0.062 0.096 0.215
O8 O 0.071 0.658 0.591
O9 O 0.083 0.860 0.535
O10 O 0.119 0.190 0.402
O11 O 0.139 0.920 0.780
O12 O 0.149 0.302 0.661
O13 O 0.163 0.870 0.026
O14 O 0.165 0.719 0.258
O15 O 0.172 0.911 0.205
O16 O 0.181 0.770 0.395
O17 O 0.183 0.698 0.976
O18 O 0.184 0.537 0.471
O19 O 0.199 0.987 0.349
O20 O 0.208 0.078 0.869
O21 O 0.210 0.567 0.189
O22 O 0.218 0.384 0.388
O23 O 0.228 0.191 0.173
O24 O 0.229 0.092 0.046
O25 O 0.233 0.486 0.665
O26 O 0.252 0.704 0.566
O27 O 0.261 0.904 0.547
O28 O 0.329 0.719 0.057
O29 O 0.334 0.767 0.233
O30 O 0.340 0.916 0.002
O31 O 0.346 0.536 0.304
O32 O 0.356 0.987 0.180
O33 O 0.357 0.588 0.448
O34 O 0.369 0.839 0.374
O35 O 0.442 0.092 0.781
O36 O 0.456 0.519 0.653
O37 O 0.475 0.216 0.073
O38 O 0.488 0.297 0.708
O39 O 0.496 0.645 0.151
O40 O 0.498 0.150 0.910
```

## Properties
Calculated density in g/cm³: 2.59
Formation enthalpy at 0 K in meV per atom: -1067
Magnetic moment in μB/cell: 27.0

(8)
The following is a PBE with a Hubbard U calculation of a geometry-optimized Sm2TeMo6H20O36 structure, from the Materials Project.

Cell and atoms, written as CIF:
```
data_Sm2TeMo6H20O36
_space_group_name_H-M_alt 'P -1'
_space_group_IT_number 2
_space_group_name_Hall '-P 1'
_cell_length_a 8.978
_cell_length_b 9.404
_cell_length_c 10.864
_cell_angle_alpha 71.35
_cell_angle_beta 75.98
_cell_angle_gamma 73.42
loop_
_atom_site_label
_atom_site_type_symbol
_atom_site_fract_x
_atom_site_fract_y
_atom_site_fract_z
Sm1 Sm 0.217 0.175 0.226
Te1 Te 0.500 0.500 0.500
Mo1 Mo 0.220 0.802 0.556
Mo2 Mo 0.267 0.708 0.280
Mo3 Mo 0.448 0.596 0.778
H1 H 0.038 0.753 0.949
H2 H 0.062 0.303 0.467
H3 H 0.112 0.517 0.165
H4 H 0.124 0.213 0.958
H5 H 0.154 0.483 0.028
H6 H 0.225 0.360 0.418
H7 H 0.429 0.254 0.943
H8 H 0.458 0.939 0.683
H9 H 0.488 0.909 0.326
H10 H 0.494 0.098 0.040
O1 O 0.057 0.807 0.684
O2 O 0.071 0.188 0.050
O3 O 0.102 0.444 0.119
O4 O 0.133 0.660 0.216
O5 O 0.136 0.720 0.450
O6 O 0.154 0.310 0.397
O7 O 0.200 0.989 0.451
O8 O 0.209 0.299 0.758
O9 O 0.259 0.906 0.206
O10 O 0.286 0.604 0.904
O11 O 0.329 0.545 0.644
O12 O 0.364 0.465 0.401
O13 O 0.382 0.797 0.648
O14 O 0.395 0.164 0.012
O15 O 0.410 0.336 0.184
O16 O 0.433 0.718 0.409
O17 O 0.464 0.626 0.172
O18 O 0.488 0.017 0.274
```

## Properties
Calculated density in g/cm³: 3.23
Formation enthalpy at 0 K in meV per atom: -1646
Magnetic moment in μB/cell: 4.1